Entry 1:
The following is a DFT calculation (PBE+U) of SrCa7Mn8O22 after structural relaxation.

Cell and atoms, written as POSCAR:
```
SrCa7Mn8O22
1.0
-2.819 -9.852 3.714
9.913 -6.565 -10.111
7.934 0.675 7.360
Sr Ca Mn O
4 28 32 88
Direct
0.004 0.117 0.500 Sr
0.498 0.388 0.000 Sr
0.240 0.388 0.261 Sr
0.231 0.116 0.243 Sr
0.001 0.109 0.001 Ca
0.018 0.627 0.495 Ca
0.018 0.627 0.996 Ca
0.537 0.127 0.485 Ca
0.542 0.126 0.983 Ca
0.523 0.626 0.498 Ca
0.522 0.625 0.999 Ca
0.495 0.392 0.503 Ca
0.492 0.857 0.001 Ca
0.494 0.857 0.502 Ca
0.967 0.388 0.999 Ca
0.963 0.386 0.498 Ca
0.971 0.872 0.009 Ca
0.971 0.873 0.509 Ca
0.231 0.395 0.756 Ca
0.224 0.871 0.253 Ca
0.224 0.871 0.751 Ca
0.742 0.393 0.253 Ca
0.737 0.389 0.750 Ca
0.743 0.861 0.252 Ca
0.742 0.862 0.750 Ca
0.226 0.111 0.744 Ca
0.269 0.630 0.258 Ca
0.269 0.629 0.758 Ca
0.779 0.119 0.250 Ca
0.783 0.119 0.755 Ca
0.771 0.626 0.254 Ca
0.771 0.625 0.757 Ca
0.991 0.992 0.254 Mn
0.992 0.991 0.755 Mn
0.002 0.504 0.248 Mn
0.001 0.503 0.748 Mn
0.510 0.983 0.232 Mn
0.509 0.984 0.735 Mn
0.500 0.507 0.252 Mn
0.497 0.506 0.751 Mn
0.242 0.994 0.008 Mn
0.244 0.994 0.513 Mn
0.250 0.507 0.004 Mn
0.249 0.507 0.506 Mn
0.745 0.997 0.995 Mn
0.743 0.998 0.496 Mn
0.750 0.505 0.002 Mn
0.748 0.505 0.503 Mn
0.262 0.240 0.949 Mn
0.268 0.240 0.471 Mn
0.251 0.752 0.005 Mn
0.251 0.752 0.505 Mn
0.756 0.250 0.005 Mn
0.749 0.251 0.506 Mn
0.751 0.747 0.001 Mn
0.751 0.747 0.502 Mn
0.986 0.255 0.259 Mn
0.992 0.255 0.760 Mn
0.002 0.749 0.251 Mn
0.002 0.748 0.751 Mn
0.526 0.258 0.259 Mn
0.522 0.256 0.753 Mn
0.500 0.747 0.254 Mn
0.500 0.746 0.754 Mn
0.108 0.776 0.106 O
0.108 0.776 0.606 O
0.584 0.251 0.097 O
0.580 0.258 0.591 O
0.611 0.766 0.112 O
0.611 0.765 0.612 O
0.402 0.207 0.355 O
0.406 0.199 0.851 O
0.398 0.729 0.400 O
0.398 0.729 0.900 O
0.895 0.242 0.415 O
0.912 0.238 0.924 O
0.893 0.729 0.393 O
0.893 0.728 0.893 O
0.143 0.243 0.343 O
0.167 0.249 0.797 O
0.148 0.735 0.355 O
0.148 0.734 0.855 O
0.654 0.217 0.353 O
0.658 0.222 0.850 O
0.645 0.726 0.358 O
0.644 0.726 0.858 O
0.358 0.774 0.149 O
0.358 0.774 0.649 O
0.843 0.276 0.155 O
0.848 0.275 0.653 O
0.860 0.768 0.141 O
0.861 0.769 0.641 O
0.360 0.489 0.142 O
0.354 0.488 0.647 O
0.353 0.992 0.159 O
0.349 0.992 0.669 O
0.860 0.483 0.140 O
0.858 0.482 0.642 O
0.844 0.977 0.145 O
0.846 0.979 0.647 O
0.141 0.010 0.368 O
0.140 0.011 0.865 O
0.146 0.520 0.356 O
0.147 0.519 0.854 O
0.625 0.030 0.343 O
0.630 0.029 0.842 O
0.643 0.523 0.359 O
0.642 0.519 0.858 O
0.394 0.517 0.397 O
0.393 0.520 0.894 O
0.880 0.015 0.390 O
0.886 0.015 0.894 O
0.893 0.517 0.393 O
0.894 0.519 0.893 O
0.107 0.480 0.104 O
0.106 0.477 0.605 O
0.097 0.982 0.118 O
0.098 0.980 0.620 O
0.615 0.489 0.117 O
0.608 0.488 0.612 O
0.588 0.991 0.078 O
0.585 0.991 0.579 O
0.006 0.379 0.282 O
0.008 0.379 0.786 O
0.000 0.870 0.292 O
0.000 0.871 0.793 O
0.501 0.379 0.278 O
0.495 0.377 0.769 O
0.518 0.870 0.291 O
0.519 0.869 0.791 O
0.486 0.628 0.213 O
0.487 0.627 0.712 O
0.995 0.132 0.216 O
0.000 0.130 0.728 O
0.995 0.625 0.212 O
0.994 0.624 0.711 O
0.238 0.129 0.017 O
0.255 0.125 0.532 O
0.236 0.632 0.040 O
0.236 0.632 0.541 O
0.751 0.124 0.036 O
0.746 0.126 0.542 O
0.745 0.626 0.038 O
0.745 0.625 0.541 O
0.282 0.356 0.497 O
0.267 0.356 0.986 O
0.282 0.881 0.464 O
0.280 0.881 0.962 O
0.741 0.377 0.469 O
0.746 0.375 0.967 O
0.748 0.873 0.466 O
0.749 0.873 0.964 O
```

Output
Polymorph energy (0 for the lowest one) = 0.000 eV per formula unit
Symmetry = P1
V = 12.13 Å³/atom



Entry 2:
The following is a DFT calculation (PBE+U) of Li2FeCo3O8 after structural relaxation.

Cell and atoms, written as POSCAR:
```
Li2FeCo3O8
1.0
2.437 4.698 2.235
3.266 -4.394 -1.722
-2.124 2.173 -9.654
Li Fe Co O
4 2 6 16
Direct
0.879 0.444 0.317 Li
0.874 0.939 0.817 Li
0.126 0.061 0.183 Li
0.121 0.556 0.683 Li
0.496 0.746 0.250 Fe
0.504 0.254 0.750 Fe
0.500 0.000 0.500 Co
0.500 0.500 0.500 Co
0.000 0.500 0.000 Co
0.500 0.500 0.000 Co
0.500 0.000 0.000 Co
0.000 0.000 0.500 Co
0.264 0.132 0.396 O
0.263 0.632 0.896 O
0.737 0.368 0.104 O
0.736 0.868 0.604 O
0.748 0.102 0.393 O
0.740 0.601 0.891 O
0.749 0.651 0.389 O
0.738 0.141 0.890 O
0.290 0.651 0.390 O
0.291 0.145 0.893 O
0.709 0.855 0.107 O
0.710 0.349 0.610 O
0.262 0.859 0.110 O
0.251 0.349 0.611 O
0.260 0.399 0.109 O
0.252 0.898 0.607 O
```

Output
Polymorph energy (0 for the lowest one) = 0.005 eV per formula unit
Symmetry = P-1
V = 9.74 Å³/atom



Entry 3:
The following is a DFT calculation (PBE+U) of SrCo2As2O8 after structural relaxation.

Cell and atoms, written as POSCAR:
```
SrCo2As2O8
1.0
5.606 -0.009 -1.138
-1.645 6.557 -2.555
0.028 -0.139 9.592
Sr Co As O
2 4 4 16
Direct
0.255 0.204 0.452 Sr
0.745 0.796 0.549 Sr
0.131 0.857 0.061 Co
0.522 0.622 0.849 Co
0.869 0.143 0.939 Co
0.478 0.379 0.152 Co
0.345 0.018 0.799 As
0.655 0.982 0.201 As
0.900 0.423 0.741 As
0.100 0.577 0.259 As
0.872 0.598 0.917 O
0.128 0.402 0.083 O
0.525 0.259 0.934 O
0.476 0.740 0.066 O
0.105 0.938 0.866 O
0.895 0.062 0.134 O
0.567 0.874 0.801 O
0.432 0.125 0.199 O
0.842 0.181 0.737 O
0.157 0.819 0.263 O
0.182 0.475 0.705 O
0.819 0.525 0.295 O
0.233 0.984 0.612 O
0.766 0.016 0.388 O
0.668 0.457 0.615 O
0.333 0.543 0.384 O
```

Output
Polymorph energy (0 for the lowest one) = 0.000 eV per formula unit
Symmetry = P1
V = 13.48 Å³/atom



Entry 4:
The following is a DFT calculation (PBE+U) of MnBO3 after structural relaxation.

Cell and atoms, written as POSCAR:
```
MnBO3
1.0
2.322 -4.103 0.097
2.305 1.238 4.956
-4.661 -2.868 5.088
Mn B O
4 4 12
Direct
0.500 0.500 0.500 Mn
0.500 0.500 0.000 Mn
0.000 0.000 0.000 Mn
0.000 0.000 0.500 Mn
0.984 0.491 0.238 B
0.521 0.999 0.742 B
0.017 0.509 0.762 B
0.478 0.001 0.258 B
0.814 0.995 0.736 O
0.277 0.504 0.229 O
0.151 0.646 0.600 O
0.624 0.161 0.112 O
0.632 0.836 0.392 O
0.176 0.373 0.906 O
0.368 0.164 0.608 O
0.825 0.626 0.094 O
0.849 0.354 0.400 O
0.376 0.839 0.888 O
0.186 0.005 0.264 O
0.723 0.496 0.771 O
```

Output
E_tot = -7.79 eV/atom
Symmetry = P-1
V = 9.52 Å³/atom